# Zr7Ni10, optimized geometry, DFT PBE-GGA
data_Zr7Ni10
_chemical_formula_sum 'Zr28 Ni40'
_cell_length_a 12.400
_cell_length_b 9.174
_cell_length_c 9.234
_cell_angle_alpha 90.00
_cell_angle_beta 90.00
_cell_angle_gamma 90.00
_symmetry_space_group_name_H-M 'C m c e'
_symmetry_Int_Tables_number 64
_symmetry_space_group_name_Hall '-C 2ac 2'
loop_
_atom_site_label
_atom_site_fract_x
_atom_site_fract_y
_atom_site_fract_z
Zr1 0.000 0.000 0.000
Zr2 0.000 0.188 0.312
Zr3 0.191 0.000 0.500
Zr4 0.250 0.248 0.250
Ni1 0.000 0.106 0.606
Ni2 0.145 0.206 0.007
Ni3 0.146 0.006 0.793
# ΔE to the lowest computed polymorph = 0.000 eV per atom

---

# Zr2Ni7, optimized geometry, DFT PBE-GGA
data_Zr2Ni7
_chemical_formula_sum 'Zr4 Ni14'
_cell_length_a 4.691
_cell_length_b 8.232
_cell_length_c 6.289
_cell_angle_alpha 90.00
_cell_angle_beta 106.05
_cell_angle_gamma 90.00
_symmetry_space_group_name_H-M 'C 1 2/m 1'
_symmetry_Int_Tables_number 12
loop_
_symmetry_equiv_pos_as_xyz
'x,y,z'
'-x,-y,-z'
'-x,y,-z'
'x,-y,z'
'x+1/2,y+1/2,z'
'-x+1/2,-y+1/2,-z'
'-x+1/2,y+1/2,-z'
'x+1/2,-y+1/2,z'
loop_
_atom_site_label
_atom_site_fract_x
_atom_site_fract_y
_atom_site_fract_z
Zr1 0.107 0.000 0.272
Ni1 0.000 0.500 0.000
Ni2 0.126 0.334 0.344
Ni3 0.250 0.250 0.000
# ΔE to the lowest computed polymorph = 0.000 eV per atom

---

# Zr2Ni7, optimized geometry, DFT PBE-GGA
data_Zr2Ni7
_chemical_formula_sum 'Zr8 Ni28'
_cell_length_a 4.677
_cell_length_b 8.197
_cell_length_c 12.116
_cell_angle_alpha 90.00
_cell_angle_beta 95.65
_cell_angle_gamma 90.00
_symmetry_space_group_name_H-M 'C 1 2/m 1'
_symmetry_Int_Tables_number 12
loop_
_symmetry_equiv_pos_as_xyz
'x,y,z'
'-x,-y,-z'
'-x,y,-z'
'x,-y,z'
'x+1/2,y+1/2,z'
'-x+1/2,-y+1/2,-z'
'-x+1/2,y+1/2,-z'
'x+1/2,-y+1/2,z'
loop_
_atom_site_label
_atom_site_fract_x
_atom_site_fract_y
_atom_site_fract_z
Zr1 0.209 0.000 0.115
Zr2 0.233 0.500 0.614
Ni1 0.017 0.252 0.750
Ni2 0.195 0.333 0.078
Ni3 0.217 0.165 0.578
Ni4 0.239 0.500 0.250
# ΔE to the lowest computed polymorph = 0.004 eV per atom
# total magnetic moment = 0.001 μB per atom

---

# Zr7Ni10, optimized geometry, DFT PBE-GGA
data_Zr7Ni10
_chemical_formula_sum 'Zr28 Ni40'
_cell_length_a 9.134
_cell_length_b 9.146
_cell_length_c 12.367
_cell_angle_alpha 90.00
_cell_angle_beta 90.00
_cell_angle_gamma 90.00
_symmetry_space_group_name_H-M 'P b c a'
_symmetry_Int_Tables_number 61
loop_
_symmetry_equiv_pos_as_xyz
'x,y,z'
'-x,-y,-z'
'-x+1/2,-y,z+1/2'
'x+1/2,y,-z+1/2'
'x+1/2,-y+1/2,-z'
'-x+1/2,y+1/2,z'
'-x,y+1/2,-z+1/2'
'x,-y+1/2,z+1/2'
loop_
_atom_site_label
_atom_site_fract_x
_atom_site_fract_y
_atom_site_fract_z
Zr1 0.000 0.000 0.000
Zr2 0.000 0.001 0.309
Zr3 0.186 0.186 0.497
Zr4 0.247 0.249 0.246
Ni1 0.006 0.706 0.647
Ni2 0.013 0.708 0.356
Ni3 0.106 0.605 0.002
Ni4 0.207 0.007 0.144
Ni5 0.210 0.008 0.853
# ΔE to the lowest computed polymorph = 0.005 eV per atom
# total magnetic moment = 0.000 μB per atom

---

# Zr6Ni23, optimized geometry, DFT PBE-GGA
data_Zr6Ni23
_chemical_formula_sum 'Zr24 Ni92'
_cell_length_a 11.427
_cell_length_b 11.427
_cell_length_c 11.427
_cell_angle_alpha 90.00
_cell_angle_beta 90.00
_cell_angle_gamma 90.00
_symmetry_space_group_name_H-M 'F m -3 m'
_symmetry_Int_Tables_number 225
_symmetry_space_group_name_Hall '-F 4 2 3'
loop_
_atom_site_label
_atom_site_fract_x
_atom_site_fract_y
_atom_site_fract_z
Zr1 0.000 0.000 0.213
Ni1 0.000 0.000 0.500
Ni2 0.000 0.250 0.250
Ni3 0.120 0.120 0.380
Ni4 0.171 0.171 0.171
# total magnetic moment = 0.000 μB per atom

---

# SrNpP2O8, optimized geometry, DFT PBE-GGA
data_SrNpP2O8
_chemical_formula_sum 'Sr8 Np8 P16 O64'
_cell_length_a 10.629
_cell_length_b 9.041
_cell_length_c 13.391
_cell_angle_alpha 90.00
_cell_angle_beta 90.00
_cell_angle_gamma 90.00
_symmetry_space_group_name_H-M 'C m c e'
_symmetry_Int_Tables_number 64
_symmetry_space_group_name_Hall '-C 2ac 2'
loop_
_atom_site_label
_atom_site_fract_x
_atom_site_fract_y
_atom_site_fract_z
Sr1 0.250 0.019 0.250
Np1 0.000 0.228 0.091
P1 0.000 0.180 0.817
P2 0.227 0.000 0.500
O1 0.000 0.008 0.812
O2 0.000 0.234 0.927
O3 0.116 0.237 0.758
O4 0.143 0.083 0.577
O5 0.190 0.104 0.064
# total magnetic moment = 0.250 μB per atom

---

no.,energy of formation from the pure elements (eV/atom),volume (Å³/cell)
1,-0.449,1050.4
2,-0.427,233.4
3,-0.424,462.2
4,-0.443,1033.2
5,-0.355,1492.1
6,-3.199,1286.9